Record 1
VASP calculation (r2SCAN) on a geometry-optimized Zr3Rh5 structure.

The structure in CIF format:
```
data_Zr3Rh5
_symmetry_space_group_name_H-M 'C m c m'
_symmetry_Int_Tables_number 63
_symmetry_space_group_name_Hall '-C 2c 2'
_cell_length_a 8.722
_cell_length_b 7.003
_cell_length_c 8.635
_cell_angle_alpha 90.00
_cell_angle_beta 90.00
_cell_angle_gamma 90.00
loop_
_atom_site_label
_atom_site_fract_x
_atom_site_fract_y
_atom_site_fract_z
Zr1 0.000 0.064 0.250
Zr2 0.207 0.500 0.000
Rh1 0.000 0.212 0.526
Rh2 0.000 0.488 0.250
Rh3 0.235 0.241 0.750
```

- Energy of formation: -0.875 eV per atom


Record 2
VASP calculation (r2SCAN) on a geometry-optimized URuS3 structure.

The structure in CIF format:
```
data_URuS3
_symmetry_space_group_name_H-M 'P n m a'
_symmetry_Int_Tables_number 62
_cell_length_a 6.935
_cell_length_b 8.828
_cell_length_c 5.967
_cell_angle_alpha 90.00
_cell_angle_beta 90.00
_cell_angle_gamma 90.00
loop_
_symmetry_equiv_pos_as_xyz
'x,y,z'
'-x,-y,-z'
'-x+1/2,-y,z+1/2'
'x+1/2,y,-z+1/2'
'x+1/2,-y+1/2,-z+1/2'
'-x+1/2,y+1/2,z+1/2'
'-x,y+1/2,-z'
'x,-y+1/2,z'
loop_
_atom_site_label
_atom_site_fract_x
_atom_site_fract_y
_atom_site_fract_z
U1 0.116 0.250 0.065
Ru1 0.000 0.000 0.500
S1 0.046 0.750 0.352
S2 0.185 0.558 0.845
```

- Energy of formation: -1.290 eV per atom


Which calculated volume belongs to each record? In order, 16.48; 18.27 Å³ per atom.